No. 1
Here is a relaxed Na6NbGa3Si2P4O24 crystal from the Materials Project database. Energies are from GGA-PBE. Values from VASP.

Geometry as Quantum ESPRESSO input:
```
&SYSTEM
  ibrav = 0, nat = 120, ntyp = 6
/
ATOMIC_SPECIES
Na 22.99 Na.upf
Nb 92.91 Nb.upf
Ga 69.72 Ga.upf
Si 28.09 Si.upf
P 30.97 P.upf
O 16.00 O.upf
ATOMIC_POSITIONS crystal
Na 0.000 0.000 0.000
Na 0.000 0.004 0.499
Na 0.024 0.674 0.582
Na 0.300 0.670 0.079
Na 0.330 0.326 0.667
Na 0.330 0.702 0.413
Na 0.332 0.331 0.165
Na 0.339 0.961 0.914
Na 0.364 0.999 0.243
Na 0.368 0.629 0.745
Na 0.628 0.002 0.746
Na 0.665 0.658 0.326
Na 0.668 0.025 0.082
Na 0.680 0.659 0.831
Na 0.690 0.344 0.914
Na 0.700 0.961 0.412
Na 0.962 0.336 0.411
Na 0.996 0.633 0.244
Nb 0.325 0.329 0.015
Nb 0.332 0.338 0.519
Nb 0.996 0.997 0.850
Ga 0.004 0.002 0.642
Ga 0.325 0.333 0.813
Ga 0.330 0.336 0.310
Ga 0.662 0.663 0.179
Ga 0.663 0.669 0.976
Ga 0.665 0.666 0.481
Ga 0.666 0.658 0.679
Ga 0.998 0.996 0.344
Ga 0.999 0.007 0.145
Si 0.033 0.345 0.909
Si 0.033 0.628 0.409
Si 0.334 0.618 0.910
Si 0.372 0.951 0.081
Si 0.375 0.678 0.580
Si 0.619 0.037 0.910
P 0.290 0.004 0.743
P 0.292 0.705 0.245
P 0.331 0.042 0.410
P 0.622 0.333 0.410
P 0.666 0.953 0.580
P 0.670 0.375 0.079
P 0.705 0.003 0.245
P 0.708 0.291 0.742
P 0.947 0.374 0.579
P 0.949 0.668 0.081
P 0.994 0.292 0.246
P 0.997 0.702 0.742
O 0.020 0.820 0.406
O 0.023 0.161 0.904
O 0.029 0.788 0.686
O 0.032 0.170 0.192
O 0.120 0.500 0.352
O 0.123 0.370 0.851
O 0.135 0.356 0.572
O 0.139 0.506 0.075
O 0.160 0.815 0.905
O 0.163 0.028 0.406
O 0.163 0.307 0.250
O 0.163 0.533 0.469
O 0.165 0.526 0.749
O 0.166 0.293 0.969
O 0.172 0.787 0.189
O 0.172 0.835 0.584
O 0.174 0.029 0.688
O 0.179 0.970 0.086
O 0.203 0.972 0.801
O 0.211 0.822 0.303
O 0.296 0.536 0.972
O 0.301 0.162 0.466
O 0.304 0.524 0.251
O 0.315 0.163 0.748
O 0.351 0.497 0.572
O 0.358 0.146 0.075
O 0.368 0.121 0.353
O 0.372 0.500 0.850
O 0.454 0.835 0.020
O 0.458 0.698 0.517
O 0.472 0.834 0.741
O 0.473 0.692 0.240
O 0.492 0.631 0.641
O 0.494 0.859 0.416
O 0.497 0.875 0.141
O 0.499 0.137 0.572
O 0.499 0.359 0.075
O 0.501 0.644 0.917
O 0.502 0.368 0.355
O 0.503 0.122 0.850
O 0.518 0.164 0.251
O 0.525 0.309 0.748
O 0.535 0.167 0.970
O 0.535 0.298 0.467
O 0.630 0.494 0.135
O 0.633 0.874 0.637
O 0.638 0.850 0.918
O 0.641 0.496 0.417
O 0.689 0.834 0.242
O 0.690 0.474 0.740
O 0.697 0.451 0.020
O 0.702 0.842 0.522
O 0.790 0.028 0.188
O 0.797 0.167 0.689
O 0.805 0.167 0.406
O 0.808 0.032 0.906
O 0.819 0.203 0.801
O 0.819 0.968 0.303
O 0.824 0.186 0.086
O 0.826 0.696 0.739
O 0.828 0.976 0.585
O 0.834 0.478 0.240
O 0.835 0.700 0.025
O 0.839 0.502 0.920
O 0.841 0.646 0.419
O 0.847 0.452 0.519
O 0.874 0.499 0.633
O 0.876 0.633 0.140
O 0.966 0.212 0.306
O 0.967 0.826 0.798
O 0.970 0.192 0.585
O 0.971 0.832 0.086
CELL_PARAMETERS angstrom
8.834 0.000 0.000
4.408 7.667 0.000
0.127 -0.040 22.009
```

Results
Energy of formation from the pure elements = -61.24 kcal/mol of atoms



No. 2
Here is a relaxed Na3NbGaSi2PO12 crystal from the Materials Project database. Energies are from GGA-PBE. Values from VASP.

Geometry as Quantum ESPRESSO input:
```
&SYSTEM
  ibrav = 0, nat = 120, ntyp = 6
/
ATOMIC_SPECIES
Na 22.99 Na.upf
Nb 92.91 Nb.upf
Ga 69.72 Ga.upf
Si 28.09 Si.upf
P 30.97 P.upf
O 16.00 O.upf
ATOMIC_POSITIONS crystal
Na 0.998 0.996 0.493
Na 0.004 0.002 0.993
Na 0.665 0.329 0.827
Na 0.671 0.335 0.327
Na 0.331 0.663 0.160
Na 0.337 0.669 0.660
Na 0.642 0.010 0.248
Na 0.989 0.625 0.248
Na 0.990 0.358 0.748
Na 0.375 0.011 0.748
Na 0.308 0.343 0.582
Na 0.656 0.958 0.581
Na 0.657 0.692 0.082
Na 0.042 0.344 0.081
Na 0.975 0.676 0.915
Na 0.323 0.292 0.914
Na 0.324 0.025 0.415
Na 0.708 0.677 0.414
Nb 0.996 0.995 0.645
Nb 0.005 0.004 0.145
Nb 0.663 0.329 0.979
Nb 0.671 0.337 0.479
Nb 0.329 0.662 0.312
Nb 0.338 0.671 0.812
Ga 0.986 0.993 0.352
Ga 0.007 0.014 0.852
Ga 0.653 0.326 0.686
Ga 0.674 0.347 0.186
Ga 0.320 0.660 0.019
Ga 0.340 0.680 0.519
Si 0.708 0.704 0.252
Si 0.996 0.286 0.251
Si 0.296 0.292 0.752
Si 0.714 0.004 0.751
Si 0.375 0.037 0.585
Si 0.662 0.619 0.584
Si 0.963 0.625 0.085
Si 0.381 0.338 0.084
Si 0.042 0.370 0.918
Si 0.329 0.952 0.917
Si 0.630 0.958 0.418
Si 0.048 0.671 0.417
P 0.294 0.008 0.254
P 0.992 0.706 0.754
P 0.960 0.341 0.588
P 0.659 0.040 0.088
P 0.627 0.675 0.921
P 0.325 0.373 0.421
O 0.213 0.024 0.312
O 0.825 0.786 0.311
O 0.966 0.159 0.306
O 0.214 0.175 0.811
O 0.976 0.787 0.812
O 0.841 0.034 0.806
O 0.800 0.976 0.689
O 0.167 0.194 0.692
O 0.019 0.828 0.698
O 0.806 0.833 0.192
O 0.024 0.200 0.189
O 0.172 0.981 0.198
O 0.879 0.357 0.645
O 0.492 0.120 0.645
O 0.633 0.493 0.640
O 0.880 0.508 0.145
O 0.643 0.121 0.145
O 0.507 0.367 0.140
O 0.466 0.309 0.022
O 0.834 0.528 0.025
O 0.685 0.161 0.031
O 0.472 0.166 0.525
O 0.691 0.534 0.522
O 0.839 0.315 0.531
O 0.546 0.691 0.978
O 0.159 0.453 0.978
O 0.300 0.826 0.973
O 0.547 0.841 0.478
O 0.309 0.454 0.478
O 0.174 0.700 0.473
O 0.133 0.642 0.355
O 0.500 0.861 0.359
O 0.352 0.495 0.365
O 0.139 0.500 0.859
O 0.358 0.867 0.855
O 0.505 0.648 0.865
O 0.026 0.841 0.412
O 0.817 0.977 0.411
O 0.179 0.191 0.412
O 0.023 0.183 0.911
O 0.159 0.974 0.912
O 0.809 0.821 0.912
O 0.965 0.167 0.587
O 0.188 0.034 0.588
O 0.833 0.815 0.588
O 0.966 0.812 0.088
O 0.833 0.035 0.087
O 0.185 0.167 0.088
O 0.693 0.175 0.745
O 0.483 0.310 0.744
O 0.846 0.524 0.746
O 0.690 0.517 0.244
O 0.825 0.307 0.245
O 0.476 0.154 0.246
O 0.632 0.500 0.920
O 0.855 0.367 0.922
O 0.499 0.148 0.921
O 0.633 0.145 0.422
O 0.500 0.368 0.420
O 0.852 0.501 0.421
O 0.360 0.508 0.078
O 0.150 0.643 0.078
O 0.513 0.857 0.079
O 0.357 0.850 0.578
O 0.492 0.640 0.578
O 0.143 0.487 0.579
O 0.299 0.834 0.253
O 0.522 0.700 0.255
O 0.166 0.481 0.255
O 0.300 0.478 0.755
O 0.166 0.701 0.753
O 0.519 0.834 0.755
CELL_PARAMETERS angstrom
-3.255 -7.554 3.576
3.229 -0.086 -8.367
20.272 -4.737 7.440
```

Results
Energy of formation from the pure elements = -63.62 kcal/mol of atoms



No. 3
Here is a relaxed Na5NbGa3SiP5O24 crystal from the Materials Project database. Energies are from GGA-PBE. Values from VASP.

Geometry as Quantum ESPRESSO input:
```
&SYSTEM
  ibrav = 0, nat = 117, ntyp = 6
/
ATOMIC_SPECIES
Na 22.99 Na.upf
Nb 92.91 Nb.upf
Ga 69.72 Ga.upf
Si 28.09 Si.upf
P 30.97 P.upf
O 16.00 O.upf
ATOMIC_POSITIONS crystal
Na 0.000 0.000 0.000
Na 0.001 0.366 0.747
Na 0.034 0.060 0.325
Na 0.304 0.705 0.328
Na 0.331 0.033 0.911
Na 0.334 0.669 0.665
Na 0.339 0.049 0.414
Na 0.368 0.737 0.000
Na 0.631 0.997 0.496
Na 0.637 0.372 0.002
Na 0.667 0.690 0.577
Na 0.671 0.701 0.080
Na 0.699 0.400 0.665
Na 0.967 0.034 0.666
Na 0.989 0.365 0.239
Nb 0.002 0.373 0.892
Nb 0.664 0.701 0.224
Nb 0.998 0.366 0.394
Ga 0.001 0.370 0.597
Ga 0.328 0.035 0.563
Ga 0.330 0.032 0.065
Ga 0.332 0.034 0.767
Ga 0.345 0.045 0.265
Ga 0.661 0.693 0.433
Ga 0.668 0.702 0.732
Ga 0.673 0.702 0.930
Ga 0.998 0.370 0.101
Si 0.385 0.408 0.333
Si 0.659 0.987 0.334
Si 0.998 0.661 0.001
P 0.003 0.071 0.501
P 0.045 0.746 0.665
P 0.048 0.042 0.164
P 0.291 0.370 0.000
P 0.295 0.664 0.501
P 0.325 0.743 0.164
P 0.333 0.323 0.665
P 0.384 0.709 0.831
P 0.622 0.034 0.664
P 0.625 0.318 0.163
P 0.657 0.406 0.830
P 0.706 0.373 0.502
P 0.711 0.077 0.999
P 0.952 0.703 0.333
P 0.961 0.988 0.830
O 0.023 0.189 0.443
O 0.023 0.557 0.659
O 0.025 0.204 0.159
O 0.034 0.566 0.941
O 0.123 0.864 0.609
O 0.126 0.010 0.105
O 0.138 0.859 0.325
O 0.145 0.009 0.825
O 0.153 0.060 0.222
O 0.165 0.825 0.721
O 0.166 0.557 0.160
O 0.167 0.345 0.658
O 0.170 0.336 0.942
O 0.171 0.062 0.504
O 0.177 0.855 0.004
O 0.179 0.569 0.444
O 0.188 0.397 0.339
O 0.195 0.537 0.837
O 0.207 0.405 0.055
O 0.207 0.551 0.559
O 0.293 0.203 0.721
O 0.305 0.829 0.222
O 0.311 0.205 0.003
O 0.312 0.848 0.504
O 0.339 0.208 0.324
O 0.359 0.853 0.106
O 0.359 0.869 0.826
O 0.374 0.244 0.608
O 0.460 0.675 0.772
O 0.470 0.538 0.274
O 0.475 0.536 0.991
O 0.480 0.685 0.497
O 0.486 0.002 0.324
O 0.490 0.728 0.889
O 0.497 0.223 0.825
O 0.498 0.727 0.170
O 0.499 0.493 0.393
O 0.499 0.511 0.671
O 0.509 0.998 0.606
O 0.516 0.243 0.103
O 0.527 0.199 0.503
O 0.530 0.065 0.003
O 0.538 0.210 0.219
O 0.539 0.073 0.719
O 0.630 0.873 0.395
O 0.636 0.492 0.888
O 0.644 0.868 0.671
O 0.645 0.508 0.169
O 0.685 0.890 0.991
O 0.692 0.538 0.495
O 0.693 0.519 0.772
O 0.706 0.899 0.276
O 0.802 0.198 0.942
O 0.805 0.344 0.446
O 0.809 0.339 0.159
O 0.812 0.200 0.659
O 0.815 0.395 0.560
O 0.824 0.683 0.991
O 0.828 0.388 0.837
O 0.833 0.155 0.054
O 0.835 0.892 0.494
O 0.837 0.667 0.275
O 0.841 0.182 0.339
O 0.848 0.910 0.772
O 0.856 0.723 0.671
O 0.859 0.870 0.169
O 0.873 0.741 0.388
O 0.876 0.882 0.888
O 0.952 0.526 0.056
O 0.968 0.159 0.557
O 0.974 0.536 0.340
O 0.979 0.176 0.837
CELL_PARAMETERS angstrom
8.765 0.000 0.000
-4.366 7.601 0.000
-0.066 -0.058 22.019
```

Results
Energy of formation from the pure elements = -61.07 kcal/mol of atoms



Question: Among the records above, which one has the lowest energy of formation from the pure elements?
Answer: Na3NbGaSi2PO12